Below is a relaxed Ce2TeMo6H36O42 crystal, with properties calculated at the PBE with a Hubbard U level.

Calculated formation energy   -1.618 eV/atom
Total energy   -502.77 eV for the cell shown

a = 9.3806 Å, b = 10.4510 Å, c = 10.9646 Å
α = 102.65°, β = 108.17°, γ = 106.95°
Element x y z (fractional)
Ce1 0.0266 0.2644 0.2425
Ce2 0.9734 0.7356 0.7575
Te1 0.5000 0.5000 0.0000
Mo1 0.3818 0.6049 0.2448
Mo2 0.4205 0.7957 0.0439
Mo3 0.4509 0.3084 0.1968
Mo4 0.5491 0.6916 0.8032
Mo5 0.5795 0.2043 0.9561
Mo6 0.6182 0.3951 0.7552
H1 0.0047 0.5676 0.3089
H2 0.0115 0.7954 0.3457
H3 0.0282 0.0604 0.9098
H4 0.0871 0.7274 0.0638
H5 0.1038 0.3096 0.9901
H6 0.1229 0.0565 0.6650
H7 0.1263 0.7963 0.5404
H8 0.1663 0.5072 0.5178
H9 0.1696 0.1531 0.4898
H10 0.1784 0.5425 0.7765
H11 0.1963 0.8238 0.3675
H12 0.2023 0.0528 0.9411
H13 0.2184 0.0922 0.3674
H14 0.2546 0.2143 0.7336
H15 0.2646 0.8290 0.6821
H16 0.2945 0.4379 0.5541
H17 0.3978 0.9903 0.2924
H18 0.4356 0.0775 0.4425
H19 0.5644 0.9225 0.5575
H20 0.6022 0.0097 0.7076
H21 0.7055 0.5621 0.4459
H22 0.7354 0.1710 0.3179
H23 0.7454 0.7857 0.2664
H24 0.7816 0.9078 0.6326
H25 0.7977 0.9472 0.0589
H26 0.8037 0.1762 0.6325
H27 0.8216 0.4575 0.2235
H28 0.8304 0.8469 0.5102
H29 0.8337 0.4928 0.4822
H30 0.8737 0.2037 0.4596
H31 0.8771 0.9435 0.3350
H32 0.8962 0.6904 0.0099
H33 0.9129 0.2726 0.9362
H34 0.9718 0.9396 0.0902
H35 0.9885 0.2046 0.6543
H36 0.9953 0.4324 0.6911
O1 0.9997 0.2434 0.9834
O2 0.0003 0.7566 0.0166
O3 0.0686 0.5327 0.7158
O4 0.0834 0.9973 0.8885
O5 0.1006 0.7596 0.3741
O6 0.1485 0.1504 0.6553
O7 0.1511 0.1421 0.3934
O8 0.1526 0.8240 0.6409
O9 0.1837 0.4205 0.4880
O10 0.2030 0.4897 0.2485
O11 0.2594 0.2298 0.2041
O12 0.2624 0.8138 0.9170
O13 0.2746 0.6786 0.1070
O14 0.3277 0.4152 0.0538
O15 0.3481 0.0027 0.3594
O16 0.3735 0.5812 0.8849
O17 0.4059 0.1663 0.0229
O18 0.4093 0.7357 0.6915
O19 0.4419 0.3249 0.8489
O20 0.4747 0.7551 0.3907
O21 0.4819 0.4980 0.6848
O22 0.4913 0.0493 0.8151
O23 0.5087 0.9507 0.1849
O24 0.5181 0.5020 0.3152
O25 0.5253 0.2449 0.6093
O26 0.5581 0.6751 0.1511
O27 0.5907 0.2643 0.3085
O28 0.5941 0.8337 0.9771
O29 0.6265 0.4188 0.1151
O30 0.6519 0.9973 0.6406
O31 0.6723 0.5848 0.9462
O32 0.7254 0.3214 0.8930
O33 0.7376 0.1862 0.0830
O34 0.7406 0.7702 0.7959
O35 0.7970 0.5103 0.7515
O36 0.8163 0.5795 0.5120
O37 0.8474 0.1760 0.3591
O38 0.8489 0.8579 0.6066
O39 0.8515 0.8496 0.3447
O40 0.8994 0.2404 0.6259
O41 0.9166 0.0027 0.1115
O42 0.9314 0.4673 0.2842